DFT (PBE+U) results for crystalline V3Zn7H3SO19 at its relaxed geometry.

a = 12.967 Å, b = 12.967 Å, c = 5.274 Å
α = 90.00°, β = 90.00°, γ = 120.00°
Element x y z (fractional)
V 0.151 0.302 0.000
V 0.151 0.849 0.000
V 0.302 0.151 0.500
V 0.698 0.849 0.000
V 0.849 0.151 0.500
V 0.849 0.698 0.500
Zn 0.000 0.000 0.295
Zn 0.000 0.000 0.795
Zn 0.079 0.425 0.477
Zn 0.079 0.655 0.477
Zn 0.345 0.425 0.477
Zn 0.345 0.921 0.477
Zn 0.425 0.079 0.977
Zn 0.425 0.345 0.977
Zn 0.575 0.655 0.477
Zn 0.575 0.921 0.477
Zn 0.655 0.079 0.977
Zn 0.655 0.575 0.977
Zn 0.921 0.345 0.977
Zn 0.921 0.575 0.977
H 0.134 0.567 0.111
H 0.433 0.567 0.111
H 0.433 0.866 0.111
H 0.567 0.134 0.611
H 0.567 0.433 0.611
H 0.866 0.433 0.611
S 0.333 0.667 0.719
S 0.667 0.333 0.219
O 0.058 0.529 0.203
O 0.067 0.347 0.819
O 0.067 0.720 0.819
O 0.074 0.148 0.044
O 0.074 0.926 0.044
O 0.148 0.074 0.544
O 0.192 0.383 0.288
O 0.192 0.808 0.288
O 0.208 0.604 0.617
O 0.280 0.347 0.819
O 0.280 0.933 0.819
O 0.333 0.667 0.997
O 0.347 0.067 0.319
O 0.347 0.280 0.319
O 0.383 0.192 0.788
O 0.396 0.604 0.617
O 0.396 0.792 0.617
O 0.471 0.529 0.203
O 0.471 0.942 0.203
O 0.529 0.058 0.703
O 0.529 0.471 0.703
O 0.604 0.208 0.117
O 0.604 0.396 0.117
O 0.617 0.808 0.288
O 0.653 0.720 0.819
O 0.653 0.933 0.819
O 0.667 0.333 0.497
O 0.720 0.067 0.319
O 0.720 0.653 0.319
O 0.792 0.396 0.117
O 0.808 0.192 0.788
O 0.808 0.617 0.788
O 0.852 0.926 0.044
O 0.926 0.074 0.544
O 0.926 0.852 0.544
O 0.933 0.280 0.319
O 0.933 0.653 0.319
O 0.942 0.471 0.703

Properties
* ΔE_f: -185.5 kJ per mole of atoms